(1)
# PBE ZrZn3N4, optimized geometry
data_ZrZn3N4
_space_group_name_H-M_alt 'P 1'
_space_group_IT_number 1
_space_group_name_Hall 'P 1'
_cell_length_a 6.7074
_cell_length_b 5.8442
_cell_length_c 5.3583
_cell_angle_alpha 90.00
_cell_angle_beta 90.00
_cell_angle_gamma 90.00
loop_
_atom_site_label
_atom_site_type_symbol
_atom_site_fract_x
_atom_site_fract_y
_atom_site_fract_z
_atom_site_occupancy
Zr1 Zr 0.0000 0.1670 0.0000 1
Zr2 Zr 0.5000 0.8330 0.5000 1
Zn1 Zn 0.0000 0.8241 0.4995 1
Zn2 Zn 0.2500 0.3357 0.4993 1
Zn3 Zn 0.2500 0.6643 0.9993 1
Zn4 Zn 0.5000 0.1759 0.9995 1
Zn5 Zn 0.7500 0.3357 0.4993 1
Zn6 Zn 0.7500 0.6643 0.9993 1
N1 N 0.0000 0.1620 0.6066 1
N2 N 0.0000 0.8260 0.1213 1
N3 N 0.2458 0.6616 0.6211 1
N4 N 0.2542 0.3384 0.1211 1
N5 N 0.5000 0.1740 0.6213 1
N6 N 0.5000 0.8380 0.1066 1
N7 N 0.7458 0.3384 0.1211 1
N8 N 0.7542 0.6616 0.6211 1
# **Crystal system**: orthorhombic
# **Energy relative to the elements**: -234.8 meV per atom

(2)
# PBE Zr2Zn2N3, optimized geometry
data_Zr2Zn2N3
_space_group_name_H-M_alt 'P 1'
_space_group_IT_number 1
_space_group_name_Hall 'P 1'
_cell_length_a 3.2204
_cell_length_b 3.2204
_cell_length_c 10.2786
_cell_angle_alpha 90.00
_cell_angle_beta 90.00
_cell_angle_gamma 120.00
loop_
_atom_site_label
_atom_site_type_symbol
_atom_site_fract_x
_atom_site_fract_y
_atom_site_fract_z
_atom_site_occupancy
Zr1 Zr 0.3333 0.6667 0.1350 1
Zr2 Zr 0.6667 0.3333 0.8650 1
Zn1 Zn 0.3333 0.6667 0.4078 1
Zn2 Zn 0.6667 0.3333 0.5922 1
N1 N 0.0000 0.0000 0.0000 1
N2 N 0.3333 0.6667 0.7482 1
N3 N 0.6667 0.3333 0.2518 1
# **Crystal system**: trigonal
# **Energy relative to the elements**: -934.5 meV per atom

(3)
# PBE Zr3N4, optimized geometry
data_Zr3N4
_space_group_name_H-M_alt 'P 1'
_space_group_IT_number 1
_space_group_name_Hall 'P 1'
_cell_length_a 9.9046
_cell_length_b 3.3017
_cell_length_c 10.9007
_cell_angle_alpha 90.00
_cell_angle_beta 90.00
_cell_angle_gamma 90.00
loop_
_atom_site_label
_atom_site_type_symbol
_atom_site_fract_x
_atom_site_fract_y
_atom_site_fract_z
_atom_site_occupancy
Zr1 Zr 0.0697 0.2500 0.1246 1
Zr2 Zr 0.1071 0.2500 0.5934 1
Zr3 Zr 0.2295 0.2500 0.8531 1
Zr4 Zr 0.2705 0.7500 0.3531 1
Zr5 Zr 0.3929 0.7500 0.0934 1
Zr6 Zr 0.4303 0.7500 0.6246 1
Zr7 Zr 0.5697 0.2500 0.3754 1
Zr8 Zr 0.6071 0.2500 0.9066 1
Zr9 Zr 0.7295 0.2500 0.6469 1
Zr10 Zr 0.7705 0.7500 0.1469 1
Zr11 Zr 0.8929 0.7500 0.4066 1
Zr12 Zr 0.9303 0.7500 0.8754 1
N1 N 0.0063 0.2500 0.7745 1
N2 N 0.1028 0.7500 0.4713 1
N3 N 0.1431 0.7500 0.9820 1
N4 N 0.2369 0.7500 0.7146 1
N5 N 0.2631 0.2500 0.2146 1
N6 N 0.3569 0.2500 0.4820 1
N7 N 0.3972 0.2500 0.9713 1
N8 N 0.4937 0.7500 0.2745 1
N9 N 0.5063 0.2500 0.7255 1
N10 N 0.6028 0.7500 0.0287 1
N11 N 0.6431 0.7500 0.5180 1
N12 N 0.7369 0.7500 0.7854 1
N13 N 0.7631 0.2500 0.2854 1
N14 N 0.8569 0.2500 0.0180 1
N15 N 0.8972 0.2500 0.5287 1
N16 N 0.9937 0.7500 0.2255 1
# **Polymorph energy (0 for the lowest one)**: 0 meV per atom
# **Crystal system**: orthorhombic
# **Energy relative to the elements**: -1680.3 meV per atom

(4)
# PBE Zr3N4, optimized geometry
data_Zr3N4
_space_group_name_H-M_alt 'P 1'
_space_group_IT_number 1
_space_group_name_Hall 'P 1'
_cell_length_a 5.8990
_cell_length_b 5.8990
_cell_length_c 5.8990
_cell_angle_alpha 109.47
_cell_angle_beta 109.47
_cell_angle_gamma 109.47
loop_
_atom_site_label
_atom_site_type_symbol
_atom_site_fract_x
_atom_site_fract_y
_atom_site_fract_z
_atom_site_occupancy
Zr1 Zr 0.1250 0.7500 0.8750 1
Zr2 Zr 0.2500 0.6250 0.3750 1
Zr3 Zr 0.3750 0.2500 0.6250 1
Zr4 Zr 0.6250 0.3750 0.2500 1
Zr5 Zr 0.7500 0.8750 0.1250 1
Zr6 Zr 0.8750 0.1250 0.7500 1
N1 N 0.0000 0.3631 0.5000 1
N2 N 0.0000 0.8631 0.5000 1
N3 N 0.1369 0.1369 0.1369 1
N4 N 0.3631 0.5000 0.0000 1
N5 N 0.5000 0.0000 0.3631 1
N6 N 0.5000 0.0000 0.8631 1
N7 N 0.6369 0.6369 0.6369 1
N8 N 0.8631 0.5000 0.0000 1
# **Largest piezoelectric modulus**: 1.069 C/m2
# **Polymorph energy (0 for the lowest one)**: 45 meV per atom
# **Crystal system**: cubic
# **Energy relative to the elements**: -1635.2 meV per atom

(5)
# PBE ZrN, optimized geometry
data_ZrN
_space_group_name_H-M_alt 'P 1'
_space_group_IT_number 1
_space_group_name_Hall 'P 1'
_cell_length_a 3.2652
_cell_length_b 3.2652
_cell_length_c 3.2652
_cell_angle_alpha 60.00
_cell_angle_beta 60.00
_cell_angle_gamma 60.00
loop_
_atom_site_label
_atom_site_type_symbol
_atom_site_fract_x
_atom_site_fract_y
_atom_site_fract_z
_atom_site_occupancy
Zr1 Zr 0.0000 0.0000 0.0000 1
N1 N 0.5000 0.5000 0.5000 1
# **Crystal system**: cubic
# **Energy relative to the elements**: -1860.1 meV per atom

(6)
# PBE ZrN, optimized geometry
data_ZrN
_space_group_name_H-M_alt 'P 1'
_space_group_IT_number 1
_space_group_name_Hall 'P 1'
_cell_length_a 3.1509
_cell_length_b 3.1509
_cell_length_c 2.9353
_cell_angle_alpha 90.00
_cell_angle_beta 90.00
_cell_angle_gamma 120.00
loop_
_atom_site_label
_atom_site_type_symbol
_atom_site_fract_x
_atom_site_fract_y
_atom_site_fract_z
_atom_site_occupancy
Zr1 Zr 0.0000 0.0000 0.0000 1
N1 N 0.3333 0.6667 0.5000 1
# **Crystal system**: hexagonal
# **Energy relative to the elements**: -1488.0 meV per atom

(7)
# PBE Zr3N2, optimized geometry
data_Zr3N2
_space_group_name_H-M_alt 'P 1'
_space_group_IT_number 1
_space_group_name_Hall 'P 1'
_cell_length_a 6.2007
_cell_length_b 6.2007
_cell_length_c 6.2007
_cell_angle_alpha 54.52
_cell_angle_beta 54.52
_cell_angle_gamma 54.52
loop_
_atom_site_label
_atom_site_type_symbol
_atom_site_fract_x
_atom_site_fract_y
_atom_site_fract_z
_atom_site_occupancy
Zr1 Zr 0.0754 0.7500 0.4246 1
Zr2 Zr 0.2500 0.5754 0.9246 1
Zr3 Zr 0.4246 0.0754 0.7500 1
Zr4 Zr 0.5754 0.9246 0.2500 1
Zr5 Zr 0.7500 0.4246 0.0754 1
Zr6 Zr 0.9246 0.2500 0.5754 1
N1 N 0.1612 0.1612 0.1612 1
N2 N 0.3388 0.3388 0.3388 1
N3 N 0.6612 0.6612 0.6612 1
N4 N 0.8388 0.8388 0.8388 1
# **Crystal system**: trigonal
# **Energy relative to the elements**: -1529.9 meV per atom

(8)
# PBE ZrN, optimized geometry
data_ZrN
_space_group_name_H-M_alt 'P 1'
_space_group_IT_number 1
_space_group_name_Hall 'P 1'
_cell_length_a 3.5290
_cell_length_b 3.5290
_cell_length_c 3.5290
_cell_angle_alpha 60.00
_cell_angle_beta 60.00
_cell_angle_gamma 60.00
loop_
_atom_site_label
_atom_site_type_symbol
_atom_site_fract_x
_atom_site_fract_y
_atom_site_fract_z
_atom_site_occupancy
Zr1 Zr 0.0000 0.0000 0.0000 1
N1 N 0.7500 0.7500 0.7500 1
# **Crystal system**: cubic
# **Energy relative to the elements**: -1538.2 meV per atom

(9)
# PBE ZrN, optimized geometry
data_ZrN
_space_group_name_H-M_alt 'P 1'
_space_group_IT_number 1
_space_group_name_Hall 'P 1'
_cell_length_a 3.2090
_cell_length_b 3.2090
_cell_length_c 5.5169
_cell_angle_alpha 90.00
_cell_angle_beta 90.00
_cell_angle_gamma 120.00
loop_
_atom_site_label
_atom_site_type_symbol
_atom_site_fract_x
_atom_site_fract_y
_atom_site_fract_z
_atom_site_occupancy
Zr1 Zr 0.3333 0.6667 0.2547 1
Zr2 Zr 0.6667 0.3333 0.7453 1
N1 N 0.0000 0.0000 0.0000 1
N2 N 0.0000 0.0000 0.5000 1
# **Crystal system**: trigonal
# **Energy relative to the elements**: -1811.0 meV per atom

(10)
# PBE ZrN, optimized geometry
data_ZrN
_space_group_name_H-M_alt 'P 1'
_space_group_IT_number 1
_space_group_name_Hall 'P 1'
_cell_length_a 3.2166
_cell_length_b 3.2166
_cell_length_c 5.7094
_cell_angle_alpha 90.00
_cell_angle_beta 90.00
_cell_angle_gamma 120.00
loop_
_atom_site_label
_atom_site_type_symbol
_atom_site_fract_x
_atom_site_fract_y
_atom_site_fract_z
_atom_site_occupancy
Zr1 Zr 0.0000 0.0000 0.0000 1
Zr2 Zr 0.0000 0.0000 0.5000 1
N1 N 0.3333 0.6667 0.2500 1
N2 N 0.6667 0.3333 0.7500 1
# **Crystal system**: hexagonal
# **Energy relative to the elements**: -1517.0 meV per atom

(11)
# PBE ZrN, optimized geometry
data_ZrN
_space_group_name_H-M_alt 'P 1'
_space_group_IT_number 1
_space_group_name_Hall 'P 1'
_cell_length_a 3.2076
_cell_length_b 3.2076
_cell_length_c 5.5204
_cell_angle_alpha 90.00
_cell_angle_beta 90.00
_cell_angle_gamma 120.00
loop_
_atom_site_label
_atom_site_type_symbol
_atom_site_fract_x
_atom_site_fract_y
_atom_site_fract_z
_atom_site_occupancy
Zr1 Zr 0.3333 0.6667 0.2500 1
Zr2 Zr 0.6667 0.3333 0.7500 1
N1 N 0.0000 0.0000 0.0000 1
N2 N 0.0000 0.0000 0.5000 1
# **Crystal system**: hexagonal
# **Energy relative to the elements**: -1813.9 meV per atom

(12)
# PBE ZrN, optimized geometry
data_ZrN
_space_group_name_H-M_alt 'P 1'
_space_group_IT_number 1
_space_group_name_Hall 'P 1'
_cell_length_a 3.5796
_cell_length_b 3.5796
_cell_length_c 5.5841
_cell_angle_alpha 90.00
_cell_angle_beta 90.00
_cell_angle_gamma 120.00
loop_
_atom_site_label
_atom_site_type_symbol
_atom_site_fract_x
_atom_site_fract_y
_atom_site_fract_z
_atom_site_occupancy
Zr1 Zr 0.3333 0.6667 0.0000 1
Zr2 Zr 0.6667 0.3333 0.5000 1
N1 N 0.3333 0.6667 0.3843 1
N2 N 0.6667 0.3333 0.8843 1
# **Crystal system**: hexagonal
# **Energy relative to the elements**: -1411.7 meV per atom